Entry from the Materials Project database: an optimized crystal structure of EuP2Ru2 (PBE).

- ρ: 7.8 Mg/m³
- Symmetry: I4/mmm, No. 139

a = 6.106 Å, b = 6.106 Å, c = 6.106 Å
α = 141.20°, β = 141.20°, γ = 56.03°
Element x y z (fractional)
1 Eu 0.000 0.000 0.000
2 P 0.643 0.643 0.000
3 P 0.357 0.357 0.000
4 Ru 0.750 0.250 0.500
5 Ru 0.250 0.750 0.500

Entry from the Materials Project database: an optimized crystal structure of EuP12Ru4 (PBE).

- ρ: 5.8 Mg/m³
- Symmetry: Im-3, No. 204

a = 7.019 Å, b = 7.019 Å, c = 7.019 Å
α = 109.47°, β = 109.47°, γ = 109.47°
Element x y z (fractional)
1 Eu 0.000 0.000 0.000
2 P 0.359 0.215 0.857
3 P 0.641 0.785 0.143
4 P 0.641 0.498 0.857
5 P 0.359 0.502 0.143
6 P 0.215 0.857 0.359
7 P 0.785 0.143 0.641
8 P 0.498 0.857 0.641
9 P 0.502 0.143 0.359
10 P 0.857 0.359 0.215
11 P 0.143 0.641 0.785
12 P 0.857 0.641 0.498
13 P 0.143 0.359 0.502
14 Ru 0.000 0.000 0.500
15 Ru 0.500 0.000 0.000
16 Ru 0.000 0.500 0.000
17 Ru 0.500 0.500 0.500

Entry from the Materials Project database: an optimized crystal structure of EuTlPS4 (PBE).

- Size of the total moment: 28.0 Bohr magnetons per cell
- ρ: 4.7 Mg/m³
- Symmetry: Pnma, No. 62

a = 6.640 Å, b = 9.006 Å, c = 12.152 Å
α = 90.00°, β = 90.00°, γ = 90.00°
Element x y z (fractional)
1 Eu 0.250 0.395 0.143
2 Eu 0.750 0.605 0.857
3 Eu 0.750 0.895 0.357
4 Eu 0.250 0.105 0.643
5 Tl 0.250 0.869 0.104
6 Tl 0.750 0.369 0.396
7 Tl 0.250 0.631 0.604
8 Tl 0.750 0.131 0.896
9 P 0.250 0.123 0.346
10 P 0.750 0.877 0.654
11 P 0.750 0.623 0.154
12 P 0.250 0.377 0.846
13 S 0.498 0.367 0.744
14 S 0.250 0.573 0.933
15 S 0.750 0.073 0.567
16 S 0.250 0.927 0.433
17 S 0.750 0.427 0.067
18 S 0.250 0.196 0.949
19 S 0.502 0.867 0.756
20 S 0.498 0.133 0.244
21 S 0.250 0.304 0.449
22 S 0.502 0.633 0.256
23 S 0.750 0.804 0.051
24 S 0.998 0.867 0.756
25 S 0.002 0.133 0.244
26 S 0.998 0.633 0.256
27 S 0.750 0.696 0.551
28 S 0.002 0.367 0.744

Entry from the Materials Project database: an optimized crystal structure of EuPd (PBE).

- ρ: 8.1 Mg/m³
- Symmetry: Cmcm, No. 63

a = 4.136 Å, b = 4.547 Å, c = 6.014 Å
α = 90.00°, β = 110.11°, γ = 90.00°
Element x y z (fractional)
1 Eu 0.862 0.250 0.724
2 Eu 0.138 0.750 0.276
3 Pd 0.577 0.250 0.154
4 Pd 0.423 0.750 0.846

Entry from the Materials Project database: an optimized crystal structure of EuPd2 (PBE).

- ρ: 10.0 Mg/m³
- Symmetry: Fd-3m, No. 227

a = 5.548 Å, b = 5.548 Å, c = 5.548 Å
α = 60.00°, β = 60.00°, γ = 60.00°
Element x y z (fractional)
1 Eu 0.750 0.750 0.750
2 Eu 0.500 0.500 0.500
3 Pd 0.125 0.125 0.625
4 Pd 0.125 0.625 0.125
5 Pd 0.125 0.125 0.125
6 Pd 0.625 0.125 0.125

Entry from the Materials Project database: an optimized crystal structure of Eu3Pd (PBE).

- Size of the total moment: 21.4 Bohr magnetons per cell
- ρ: 6.2 Mg/m³
- Symmetry: R-3m, No. 166

a = 10.373 Å, b = 10.373 Å, c = 10.373 Å
α = 23.13°, β = 23.13°, γ = 23.13°
Element x y z (fractional)
1 Eu 0.277 0.277 0.277
2 Eu 0.500 0.500 0.500
3 Eu 0.723 0.723 0.723
4 Pd 0.000 0.000 0.000

Entry from the Materials Project database: an optimized crystal structure of Eu4Pd (PBE).

- Size of the total moment: 58.5 Bohr magnetons per cell
- ρ: 5.5 Mg/m³
- Symmetry: Fd-3m, No. 227

a = 8.470 Å, b = 8.470 Å, c = 8.470 Å
α = 60.00°, β = 60.00°, γ = 60.00°
Element x y z (fractional)
1 Eu 0.616 0.616 0.616
2 Eu 0.153 0.616 0.616
3 Eu 0.616 0.153 0.616
4 Eu 0.597 0.134 0.134
5 Eu 0.134 0.134 0.134
6 Eu 0.616 0.616 0.153
7 Eu 0.134 0.597 0.134
8 Eu 0.134 0.134 0.597
9 Pd 0.000 0.000 0.000
10 Pd 0.750 0.750 0.750

Entry from the Materials Project database: an optimized crystal structure of EuPd2 (PBE).

- Size of the total moment: 6.9 Bohr magnetons per cell
- ρ: 8.4 Mg/m³
- Symmetry: I4/mmm, No. 139

a = 5.405 Å, b = 5.405 Å, c = 5.405 Å
α = 137.01°, β = 137.01°, γ = 62.42°
Element x y z (fractional)
1 Eu 0.000 0.000 0.000
2 Pd 0.750 0.250 0.500
3 Pd 0.250 0.750 0.500

Entry from the Materials Project database: an optimized crystal structure of EuPd3S4 (PBE).

- ρ: 6.5 Mg/m³
- Symmetry: Pm-3n, No. 223

a = 6.739 Å, b = 6.739 Å, c = 6.739 Å
α = 90.00°, β = 90.00°, γ = 90.00°
Element x y z (fractional)
1 Eu 0.500 0.500 0.500
2 Eu 0.000 0.000 0.000
3 Pd 0.750 0.000 0.500
4 Pd 0.500 0.750 0.000
5 Pd 0.000 0.500 0.750
6 Pd 0.000 0.500 0.250
7 Pd 0.250 0.000 0.500
8 Pd 0.500 0.250 0.000
9 S 0.750 0.250 0.250
10 S 0.250 0.250 0.750
11 S 0.250 0.750 0.250
12 S 0.750 0.750 0.750
13 S 0.250 0.750 0.750
14 S 0.750 0.750 0.250
15 S 0.250 0.250 0.250
16 S 0.750 0.250 0.750

Entry from the Materials Project database: an optimized crystal structure of EuSb2Pd2 (PBE).

- ρ: 8.6 Mg/m³
- Symmetry: P4/nmm, No. 129

a = 4.668 Å, b = 4.668 Å, c = 10.723 Å
α = 90.00°, β = 90.00°, γ = 90.00°
Element x y z (fractional)
1 Eu 0.500 0.000 0.241
2 Eu 0.000 0.500 0.759
3 Sb 0.000 0.000 0.500
4 Sb 0.500 0.500 0.500
5 Sb 0.500 0.000 0.873
6 Sb 0.000 0.500 0.127
7 Pd 0.000 0.000 0.000
8 Pd 0.500 0.500 0.000
9 Pd 0.500 0.000 0.629
10 Pd 0.000 0.500 0.371

Entry from the Materials Project database: an optimized crystal structure of EuSbPd (PBE).

- ρ: 8.6 Mg/m³
- Symmetry: Pnma, No. 62

a = 4.764 Å, b = 7.701 Å, c = 8.042 Å
α = 90.00°, β = 90.00°, γ = 90.00°
Element x y z (fractional)
1 Eu 0.250 0.007 0.301
2 Eu 0.250 0.507 0.199
3 Eu 0.750 0.993 0.699
4 Eu 0.750 0.493 0.801
5 Sb 0.250 0.693 0.592
6 Sb 0.250 0.193 0.908
7 Sb 0.750 0.307 0.408
8 Sb 0.750 0.807 0.092
9 Pd 0.250 0.315 0.581
10 Pd 0.250 0.815 0.919
11 Pd 0.750 0.685 0.419
12 Pd 0.750 0.185 0.081

Entry from the Materials Project database: an optimized crystal structure of Eu2Si3Pd (PBE).

- ρ: 6.3 Mg/m³
- Symmetry: P6/mmm, No. 191

a = 8.323 Å, b = 8.323 Å, c = 4.315 Å
α = 90.00°, β = 90.00°, γ = 120.00°
Element x y z (fractional)
1 Eu 0.500 0.500 0.000
2 Eu 0.000 0.500 0.000
3 Eu 0.500 0.000 0.000
4 Eu 0.000 0.000 0.000
5 Si 0.836 0.672 0.500
6 Si 0.164 0.836 0.500
7 Si 0.672 0.836 0.500
8 Si 0.164 0.328 0.500
9 Si 0.836 0.164 0.500
10 Si 0.328 0.164 0.500
11 Pd 0.333 0.667 0.500
12 Pd 0.667 0.333 0.500

Entry from the Materials Project database: an optimized crystal structure of EuSiPd (PBE).

- ρ: 6.9 Mg/m³
- Symmetry: P2_13, No. 198

a = 6.503 Å, b = 6.503 Å, c = 6.503 Å
α = 90.00°, β = 90.00°, γ = 90.00°
Element x y z (fractional)
1 Eu 0.369 0.869 0.631
2 Eu 0.869 0.631 0.369
3 Eu 0.631 0.369 0.869
4 Eu 0.131 0.131 0.131
5 Si 0.665 0.165 0.335
6 Si 0.165 0.335 0.665
7 Si 0.335 0.665 0.165
8 Si 0.835 0.835 0.835
9 Pd 0.083 0.583 0.917
10 Pd 0.583 0.917 0.083
11 Pd 0.917 0.083 0.583
12 Pd 0.417 0.417 0.417

Entry from the Materials Project database: an optimized crystal structure of Eu3Sn2Pd2 (PBE).

- Size of the total moment: 84.0 Bohr magnetons per cell
- ρ: 8.1 Mg/m³
- Symmetry: Pbcm, No. 57

a = 6.012 Å, b = 8.812 Å, c = 14.095 Å
α = 90.00°, β = 90.00°, γ = 90.00°
Element x y z (fractional)
1 Eu 0.146 0.393 0.598
2 Eu 0.854 0.607 0.098
3 Eu 0.146 0.107 0.402
4 Eu 0.854 0.893 0.902
5 Eu 0.854 0.607 0.402
6 Eu 0.146 0.393 0.902
7 Eu 0.854 0.893 0.598
8 Eu 0.146 0.107 0.098
9 Eu 0.646 0.251 0.750
10 Eu 0.354 0.749 0.250
11 Eu 0.646 0.249 0.250
12 Eu 0.354 0.751 0.750
13 Sn 0.643 0.250 0.500
14 Sn 0.357 0.750 0.000
15 Sn 0.357 0.750 0.500
16 Sn 0.643 0.250 0.000
17 Sn 0.150 0.102 0.750
18 Sn 0.850 0.898 0.250
19 Sn 0.150 0.398 0.250
20 Sn 0.850 0.602 0.750
21 Pd 0.381 0.032 0.589
22 Pd 0.619 0.968 0.089
23 Pd 0.381 0.468 0.411
24 Pd 0.619 0.532 0.911
25 Pd 0.619 0.968 0.411
26 Pd 0.381 0.032 0.911
27 Pd 0.619 0.532 0.589
28 Pd 0.381 0.468 0.089

Entry from the Materials Project database: an optimized crystal structure of EuSn2Pd2 (PBE).

- ρ: 8.4 Mg/m³
- Symmetry: P4/nmm, No. 129

a = 4.713 Å, b = 4.713 Å, c = 10.688 Å
α = 90.00°, β = 90.00°, γ = 90.00°
Element x y z (fractional)
1 Eu 0.000 0.500 0.245
2 Eu 0.500 0.000 0.755
3 Sn 0.000 0.000 0.500
4 Sn 0.500 0.500 0.500
5 Sn 0.000 0.500 0.880
6 Sn 0.500 0.000 0.120
7 Pd 0.000 0.500 0.632
8 Pd 0.500 0.000 0.368
9 Pd 0.000 0.000 0.000
10 Pd 0.500 0.500 0.000

Entry from the Materials Project database: an optimized crystal structure of EuTl2Pd (PBE).

- ρ: 10.7 Mg/m³
- Symmetry: Cmcm, No. 63

a = 5.969 Å, b = 5.969 Å, c = 8.561 Å
α = 90.00°, β = 90.00°, γ = 137.24°
Element x y z (fractional)
1 Eu 0.566 0.434 0.250
2 Eu 0.434 0.566 0.750
3 Tl 0.143 0.857 0.549
4 Tl 0.857 0.143 0.049
5 Tl 0.857 0.143 0.451
6 Tl 0.143 0.857 0.951
7 Pd 0.278 0.722 0.250
8 Pd 0.722 0.278 0.750

Entry from the Materials Project database: an optimized crystal structure of PmEu3 (PBE).

- Size of the total moment: 44.8 Bohr magnetons per cell
- ρ: 6.4 Mg/m³
- Symmetry: P6_3/mmc, No. 194

a = 7.639 Å, b = 7.639 Å, c = 6.176 Å
α = 90.00°, β = 90.00°, γ = 120.00°
Element x y z (fractional)
1 Pm 0.333 0.667 0.750
2 Pm 0.667 0.333 0.250
3 Eu 0.170 0.339 0.250
4 Eu 0.661 0.830 0.250
5 Eu 0.170 0.830 0.250
6 Eu 0.830 0.661 0.750
7 Eu 0.339 0.170 0.750
8 Eu 0.830 0.170 0.750

Entry from the Materials Project database: an optimized crystal structure of PmEuPt2 (PBE).

- ρ: 12.0 Mg/m³
- Symmetry: Fm-3m, No. 225

a = 5.125 Å, b = 5.125 Å, c = 5.125 Å
α = 60.00°, β = 60.00°, γ = 60.00°
Element x y z (fractional)
1 Pm 0.000 0.000 0.000
2 Eu 0.500 0.500 0.500
3 Pt 0.250 0.250 0.250
4 Pt 0.750 0.750 0.750

Entry from the Materials Project database: an optimized crystal structure of PmEuRh2 (PBE).

- Size of the total moment: 6.6 Bohr magnetons per cell
- ρ: 9.6 Mg/m³
- Symmetry: Fm-3m, No. 225

a = 4.969 Å, b = 4.969 Å, c = 4.969 Å
α = 60.00°, β = 60.00°, γ = 60.00°
Element x y z (fractional)
1 Pm 0.000 0.000 0.000
2 Eu 0.500 0.500 0.500
3 Rh 0.250 0.250 0.250
4 Rh 0.750 0.750 0.750

Entry from the Materials Project database: an optimized crystal structure of PrEu3 (PBE).

- Size of the total moment: 44.4 Bohr magnetons per cell
- ρ: 6.1 Mg/m³
- Symmetry: P6_3/mmc, No. 194

a = 7.753 Å, b = 7.753 Å, c = 6.260 Å
α = 90.00°, β = 90.00°, γ = 120.00°
Element x y z (fractional)
1 Pr 0.333 0.667 0.750
2 Pr 0.667 0.333 0.250
3 Eu 0.169 0.339 0.250
4 Eu 0.661 0.831 0.250
5 Eu 0.169 0.831 0.250
6 Eu 0.831 0.661 0.750
7 Eu 0.339 0.169 0.750
8 Eu 0.831 0.169 0.750

DFT formation energy for every record listed, in sequence, given in eV/atom: -0.96; -0.63; -1.19; -0.70; -0.72; -0.32; -0.03; -0.41; -1.09; -0.79; -0.97; -0.75; -0.80; -0.79; -0.73; -0.45; 0.06; -1.00; -0.51; 0.05.